Entry 1:
{"formula": "KLiMg14", "functional": "PBE", "state": "relaxed", "lattice_angstrom": [[10.689, 0.000, 0.000], [0.000, 3.203, 5.711], [0.000, -3.203, 5.711]], "species": ["K", "Li", "Mg", "Mg", "Mg", "Mg", "Mg", "Mg", "Mg", "Mg", "Mg", "Mg", "Mg", "Mg", "Mg", "Mg"], "frac_coords": [[0.000, 0.000, 0.000], [0.000, 0.499, 0.499], [0.000, 0.003, 0.498], [0.000, 0.498, 0.003], [0.247, 0.666, 0.666], [0.263, 0.171, 0.171], [0.264, 0.169, 0.657], [0.264, 0.657, 0.169], [0.500, 0.000, 0.000], [0.500, 0.501, 0.501], [0.500, 0.501, 0.998], [0.500, 0.998, 0.501], [0.736, 0.169, 0.657], [0.736, 0.657, 0.169], [0.737, 0.171, 0.171], [0.753, 0.666, 0.666]], "relative_energy_ev_per_atom": 0.000, "rho_g_cm3": 1.6, "formation_enthalpy_0k_ev_per_atom": 0.090, "vol_a3_per_atom": 24.44}



Entry 2:
{"formula": "KLiMg6O7", "functional": "PBE", "state": "relaxed", "lattice_angstrom": [[4.510, 0.000, 0.000], [0.000, 4.510, 0.000], [0.000, 0.000, 8.498]], "species": ["K", "Li", "Mg", "Mg", "Mg", "Mg", "Mg", "Mg", "O", "O", "O", "O", "O", "O", "O"], "frac_coords": [[0.000, 0.000, 0.000], [0.500, 0.500, 0.982], [0.000, 0.000, 0.492], [0.000, 0.500, 0.219], [0.000, 0.500, 0.749], [0.500, 0.000, 0.219], [0.500, 0.000, 0.749], [0.500, 0.500, 0.478], [0.000, 0.000, 0.716], [0.000, 0.500, 0.456], [0.000, 0.500, 0.990], [0.500, 0.000, 0.456], [0.500, 0.000, 0.990], [0.500, 0.500, 0.235], [0.500, 0.500, 0.717]], "relative_energy_ev_per_atom": 0.071, "rho_g_cm3": 2.9, "formation_enthalpy_0k_ev_per_atom": -2.304, "vol_a3_per_atom": 11.53}



Entry 3:
{"formula": "KLiMg14O15", "functional": "PBE", "state": "relaxed", "lattice_angstrom": [[4.370, 0.000, 0.000], [0.000, 8.733, 0.000], [0.000, 0.000, 8.471]], "species": ["K", "Li", "Mg", "Mg", "Mg", "Mg", "Mg", "Mg", "Mg", "Mg", "Mg", "Mg", "Mg", "Mg", "Mg", "Mg", "O", "O", "O", "O", "O", "O", "O", "O", "O", "O", "O", "O", "O", "O", "O"], "frac_coords": [[0.000, 0.000, 0.000], [0.000, 0.500, 0.077], [0.000, 0.000, 0.540], [0.000, 0.251, 0.300], [0.000, 0.283, 0.823], [0.000, 0.500, 0.559], [0.000, 0.717, 0.823], [0.000, 0.749, 0.300], [0.500, 0.000, 0.295], [0.500, 0.000, 0.816], [0.500, 0.248, 0.565], [0.500, 0.262, 0.067], [0.500, 0.500, 0.309], [0.500, 0.500, 0.820], [0.500, 0.738, 0.067], [0.500, 0.752, 0.565], [0.000, 0.000, 0.314], [0.000, 0.235, 0.581], [0.000, 0.270, 0.060], [0.000, 0.500, 0.326], [0.000, 0.500, 0.796], [0.000, 0.730, 0.060], [0.000, 0.765, 0.581], [0.500, 0.000, 0.059], [0.500, 0.000, 0.579], [0.500, 0.239, 0.816], [0.500, 0.248, 0.317], [0.500, 0.500, 0.061], [0.500, 0.500, 0.569], [0.500, 0.752, 0.317], [0.500, 0.761, 0.816]], "relative_energy_ev_per_atom": 0.016, "rho_g_cm3": 3.2, "formation_enthalpy_0k_ev_per_atom": -2.728, "vol_a3_per_atom": 10.43}



Entry 4:
{"formula": "KLiMg6O7", "functional": "PBE", "state": "relaxed", "lattice_angstrom": [[4.157, 0.000, 0.000], [0.000, 4.157, 0.000], [0.000, 0.000, 11.043]], "species": ["K", "Li", "Mg", "Mg", "Mg", "Mg", "Mg", "Mg", "O", "O", "O", "O", "O", "O", "O"], "frac_coords": [[0.000, 0.000, 0.000], [0.000, 0.000, 0.510], [0.000, 0.500, 0.323], [0.000, 0.500, 0.710], [0.500, 0.000, 0.323], [0.500, 0.000, 0.710], [0.500, 0.500, 0.125], [0.500, 0.500, 0.535], [0.000, 0.000, 0.335], [0.000, 0.000, 0.745], [0.000, 0.500, 0.141], [0.000, 0.500, 0.515], [0.500, 0.000, 0.141], [0.500, 0.000, 0.515], [0.500, 0.500, 0.719]], "relative_energy_ev_per_atom": 0.022, "rho_g_cm3": 2.6, "formation_enthalpy_0k_ev_per_atom": -2.354, "vol_a3_per_atom": 12.72}